[1]
Below is crystalline SmAl4Ni at its relaxed geometry, with properties calculated at the r2SCAN level.

Unit cell a=4.084 b=6.555 c=8.061 alpha=90.00 beta=104.67 gamma=90.00
Positions (direct):
Sm  0.385  0.750  0.770
Sm  0.615  0.250  0.230
Al  0.000  0.500  0.000
Al  0.000  0.000  0.000
Al  0.579  0.750  0.157
Al  0.421  0.250  0.843
Al  0.809  0.053  0.618
Al  0.191  0.947  0.382
Al  0.191  0.553  0.382
Al  0.809  0.447  0.618
Ni  0.725  0.750  0.451
Ni  0.275  0.250  0.549

Energy of formation from the pure elements   -589 meV per atom
Total magnetization   0.0 μB/f.u.
E_tot   -72.2 eV/f.u.



[2]
Below is crystalline Sm2AlNi2 at its relaxed geometry, with properties calculated at the r2SCAN level.

Unit cell a=4.232 b=5.414 c=5.447 alpha=119.80 beta=112.84 gamma=90.00
Positions (direct):
Sm  0.798  0.298  0.596
Sm  0.202  0.702  0.404
Al  0.000  0.000  0.000
Ni  0.500  0.261  0.000
Ni  0.500  0.739  0.000

Energy of formation from the pure elements   -469 meV per atom
Total magnetization   0.0 μB/f.u.
E_tot   -92.5 eV/f.u.